First-principles (PBE-GGA) data for Sr2Re4H16C3N6O21 after structural relaxation, as listed in the Materials Project.

Geometry as CIF:
```
data_Sr2Re4H16C3N6O21
_symmetry_space_group_name_H-M 'P 1'
_symmetry_Int_Tables_number 1
_symmetry_space_group_name_Hall 'P 1'
_cell_length_a 7.807
_cell_length_b 10.595
_cell_length_c 17.823
_cell_angle_alpha 85.51
_cell_angle_beta 77.45
_cell_angle_gamma 68.49
loop_
_atom_site_label
_atom_site_fract_x
_atom_site_fract_y
_atom_site_fract_z
Sr1 0.000 0.000 0.000
Sr2 0.045 0.905 0.501
Sr3 0.254 0.502 0.484
Sr4 0.805 0.405 0.985
Re1 0.010 0.723 0.177
Re2 0.224 0.565 0.946
Re3 0.423 0.068 0.541
Re4 0.443 0.226 0.307
Re5 0.540 0.839 0.040
Re6 0.717 0.682 0.806
Re7 0.782 0.180 0.678
Re8 0.836 0.338 0.447
H1 0.001 0.874 0.335
H2 0.019 0.534 0.651
H3 0.039 0.393 0.623
H4 0.040 0.029 0.183
H5 0.040 0.131 0.256
H6 0.059 0.376 0.799
H7 0.121 0.878 0.684
H8 0.220 0.773 0.756
H9 0.232 0.272 0.727
H10 0.280 0.217 0.057
H11 0.347 0.981 0.846
H12 0.362 0.184 0.928
H13 0.374 0.928 0.346
H14 0.385 0.046 0.753
H15 0.393 0.548 0.732
H16 0.441 0.227 0.109
H17 0.451 0.480 0.640
H18 0.471 0.861 0.253
H19 0.477 0.515 0.123
H20 0.487 0.530 0.301
H21 0.544 0.685 0.557
H22 0.547 0.635 0.228
H23 0.585 0.177 0.876
H24 0.594 0.721 0.426
H25 0.598 0.376 0.153
H26 0.714 0.681 0.609
H27 0.813 0.722 0.375
H28 0.857 0.016 0.363
H29 0.925 0.889 0.860
H30 0.929 0.031 0.833
H31 0.981 0.425 0.137
H32 0.987 0.362 0.231
C1 0.002 0.225 0.151
C2 0.185 0.181 0.833
C3 0.273 0.681 0.651
C4 0.410 0.727 0.334
C5 0.539 0.201 0.993
C6 0.786 0.704 0.492
N1 0.031 0.121 0.201
N2 0.156 0.283 0.782
N3 0.192 0.784 0.702
N4 0.322 0.061 0.809
N5 0.385 0.561 0.676
N6 0.410 0.217 0.058
N7 0.425 0.847 0.310
N8 0.482 0.624 0.283
N9 0.491 0.186 0.927
N10 0.672 0.688 0.558
N11 0.724 0.719 0.426
N12 0.989 0.347 0.175
O1 0.084 0.475 0.997
O2 0.091 0.196 0.902
O3 0.110 0.454 0.622
O4 0.130 0.734 0.978
O5 0.221 0.561 0.849
O6 0.224 0.599 0.136
O7 0.248 0.176 0.321
O8 0.250 0.696 0.582
O9 0.324 0.064 0.638
O10 0.336 0.976 0.491
O11 0.337 0.711 0.404
O12 0.356 0.237 0.508
O13 0.360 0.931 0.990
O14 0.380 0.385 0.350
O15 0.440 0.842 0.138
O16 0.456 0.489 0.960
O17 0.473 0.732 0.821
O18 0.524 0.237 0.207
O19 0.554 0.229 0.662
O20 0.604 0.425 0.497
O21 0.608 0.455 0.122
O22 0.617 0.101 0.346
O23 0.645 0.671 0.007
O24 0.669 0.994 0.527
O25 0.703 0.202 0.993
O26 0.710 0.914 0.026
O27 0.769 0.804 0.847
O28 0.773 0.168 0.778
O29 0.809 0.673 0.706
O30 0.813 0.521 0.848
O31 0.830 0.676 0.162
O32 0.831 0.340 0.349
O33 0.872 0.306 0.639
O34 0.913 0.170 0.479
O35 0.923 0.021 0.635
O36 0.950 0.704 0.493
O37 0.986 0.954 0.364
O38 0.987 0.417 0.461
O39 0.990 0.884 0.135
O40 0.992 0.733 0.277
O41 0.992 0.951 0.863
O42 0.993 0.210 0.081
```

Results
**Formation enthalpy at 0 K**: -1502 meV per atom
**Calculated total energy**: -705.5 eV for the cell shown
**Energy above the most stable polymorph in this dataset**: 0.003 eV per atom
**Corrected total energy (MP2020 scheme)**: -367.18 eV per formula unit